This record from Materials Project describes an optimized crystal structure of CaHgH16Br4O8. The functional is GGA-PBE.

Values from the calculation:
excess energy over the best structure of this formula in the dataset: 0 meV/atom

extended XYZ file:
```
120
Lattice="5.173 9.837 0.760 -9.641 1.063 -5.479 -6.587 2.530 12.083" Properties=species:S:1:pos:R:3 pbc="T T T"
H -9.883 2.096 0.195
H -9.562 6.650 8.107
H -10.182 7.563 6.989
Br -7.933 6.382 9.861
O -1.482 7.898 3.020
Hg -6.381 4.680 8.569
Ca -9.268 4.500 2.107
H 1.320 8.731 4.913
O -11.673 4.060 2.688
H -0.841 11.086 3.396
H -4.808 6.935 11.698
O -9.483 2.371 3.322
O -10.261 6.683 7.411
H -1.824 8.273 2.179
Ca -5.901 3.279 -3.903
Br -3.969 5.863 8.291
H -3.092 12.471 11.239
O -6.097 9.150 9.165
O -4.076 12.513 11.343
O -14.693 6.225 6.872
H -3.161 11.037 8.909
H -10.982 3.192 -0.045
O -3.331 10.366 9.598
H -0.874 5.867 0.376
Br -5.747 2.551 10.060
H -7.895 2.393 -1.545
Br -5.309 10.879 -2.695
H -6.307 4.627 3.027
H -10.205 5.540 -0.548
H -1.131 7.027 2.754
H -11.773 10.636 6.579
H 1.434 7.918 2.384
H -0.074 10.238 7.410
H -6.616 3.778 0.444
O -7.329 4.435 0.558
O -1.024 10.367 7.173
O -4.008 9.353 3.977
O 1.241 8.375 1.543
Br -4.470 1.970 0.731
H -4.485 3.728 -1.145
Br -3.628 2.650 4.887
H -4.015 9.203 3.007
H -12.107 4.133 5.542
Hg -4.675 8.750 -1.204
H -7.748 7.027 3.074
O -4.649 7.746 11.162
Br -7.889 3.541 6.640
H -4.749 8.804 4.338
H -14.907 5.473 6.264
H -6.571 9.702 8.510
H -12.490 5.512 4.980
H 0.941 10.254 4.976
H -7.050 5.177 -0.022
H -8.536 3.619 -2.215
H -10.340 3.659 9.369
H -9.985 4.167 7.962
H -4.440 9.652 6.921
Br -4.354 5.921 2.012
H 3.851 7.957 1.101
H -4.535 7.395 10.257
H -0.851 7.890 7.912
H -8.236 12.731 8.069
O -1.573 11.059 4.042
O -0.795 6.747 -0.046
O -0.335 9.281 -1.239
H -3.505 6.322 5.848
Br -10.506 9.138 4.983
Br -3.167 9.889 0.725
H -12.376 4.700 2.452
H -9.632 7.979 1.613
Ca -1.788 8.930 5.258
H -4.385 5.068 -1.960
H -4.006 8.253 7.387
H -6.521 6.035 -2.892
Br -3.123 7.048 -2.496
H -0.716 9.771 -2.004
O -12.297 5.056 5.822
O -6.407 5.684 -3.797
Hg -3.152 3.573 2.459
Br -7.087 7.567 -0.926
H -6.956 2.175 3.422
O -9.574 5.532 4.344
H 1.051 9.297 1.823
O -2.852 6.563 5.155
O 3.637 7.205 0.493
H -1.494 6.780 -0.742
Br -6.702 7.509 5.353
H -6.248 6.495 -4.334
Br -0.550 4.292 2.382
Br -7.428 10.780 2.478
O -8.204 6.867 2.210
O -3.727 8.996 6.807
O -10.032 3.063 0.192
H -7.964 0.960 -3.875
H -3.308 6.403 4.290
O -7.725 3.065 -2.233
H -1.424 5.451 5.752
H -7.041 4.227 4.358
Ca 1.432 7.622 -0.815
O -10.721 4.150 8.604
H -7.551 7.109 1.517
H -10.215 2.345 3.969
H -11.997 3.176 2.389
O -4.959 4.280 -1.800
H -9.925 6.404 4.611
O 0.617 9.370 4.677
H -1.173 11.335 7.170
O -0.741 7.548 7.004
O -10.315 5.882 0.361
H -4.100 11.256 3.943
Br -6.586 11.460 6.634
Hg -7.904 9.857 4.906
H -6.671 8.362 9.325
H 0.717 2.794 0.785
H -2.520 9.811 9.579
H -1.071 9.263 -0.597
H -2.820 0.699 -0.704
O -6.980 0.917 -3.979
O -7.048 4.078 3.387
H -9.232 5.158 5.186
```



This record from Materials Project describes an optimized crystal structure of CaH24Br2N8. The functional is GGA-PBE.

extended XYZ file:
```
140
Lattice="-5.234 11.682 0.426 -6.474 -2.783 -3.237 -5.897 -3.172 14.521" Properties=species:S:1:pos:R:3 pbc="T T T"
H -8.920 1.868 0.330
N -10.433 -0.156 12.451
H -12.054 4.923 9.525
H -10.059 3.269 10.693
N -6.304 1.257 11.025
H -6.666 6.777 -0.713
H -9.426 -2.742 4.427
H -10.969 0.490 11.868
H -4.979 3.027 6.003
N -9.191 0.017 9.582
H -11.810 6.099 10.630
N -8.044 1.596 0.784
N -7.935 5.474 6.521
N -8.415 5.711 2.128
H -14.063 4.744 12.082
H -14.551 3.849 8.277
H -10.091 1.186 5.230
H -12.972 2.384 12.811
H -7.514 4.541 6.480
H -9.699 -3.221 11.525
Br -6.737 1.662 7.402
Ca -8.356 -0.141 2.901
H -6.285 9.956 2.836
H -15.480 5.537 12.267
H -7.958 -1.301 -0.001
H -11.169 4.220 1.675
H -6.868 -2.263 9.065
H -3.055 1.878 3.433
H -8.179 8.470 7.283
N -7.711 1.014 13.812
H -8.537 5.545 5.697
H -12.112 7.400 1.958
N -8.852 7.136 11.066
H -3.542 0.983 -0.372
H -14.556 6.132 5.625
H -5.612 9.935 1.331
H -4.162 0.606 6.733
N -11.902 7.396 -0.924
H -12.436 6.474 9.151
H -10.165 7.616 6.290
N -10.695 6.951 6.866
H -10.939 -1.050 12.423
H -8.903 -3.189 10.082
H -2.647 4.197 -0.109
H -6.035 -1.688 4.592
H -3.650 6.521 1.335
H -6.436 1.508 10.034
H -13.955 -0.793 10.375
H -9.647 7.029 11.711
H -4.873 6.377 3.397
H -8.141 -3.699 11.446
H -7.166 6.134 6.382
N -15.064 4.601 12.239
N -11.130 7.184 2.151
H -7.546 2.459 1.017
H -10.774 1.727 2.758
Br -9.116 -3.535 7.338
H -11.149 6.426 2.840
H -11.320 -4.228 8.873
H -11.841 -1.942 7.835
H -7.273 2.041 4.856
H -7.906 8.949 0.184
H -12.626 2.701 5.707
H -9.464 9.427 0.264
H -11.993 -4.207 10.379
H -13.443 5.121 4.977
N -11.738 5.895 9.623
H -7.485 1.148 0.051
H -4.464 3.687 4.582
H -6.457 -0.699 8.870
H -5.169 -0.747 2.559
H -9.344 -0.868 9.083
N -8.796 -2.998 11.088
H -6.831 4.000 8.952
H -4.174 7.848 0.533
N -8.754 -1.408 0.644
N -10.697 0.795 2.340
H -2.126 0.191 -0.557
H -15.068 5.343 7.835
H -11.814 8.416 -0.912
H -8.424 2.738 3.933
Br -11.653 6.267 13.274
H -9.181 2.990 7.777
H -7.505 5.245 2.081
H -5.791 -2.689 12.621
H -10.724 3.079 8.336
N -6.475 -1.457 9.558
H -10.333 3.686 6.853
N -9.561 4.132 10.926
H -5.795 -0.372 1.080
H -13.141 2.040 7.127
Br -8.489 9.263 4.372
N -10.001 3.603 7.823
H -8.685 3.859 11.380
H -6.653 -0.464 5.487
N -5.703 -1.668 12.634
N -9.670 0.254 5.189
H -9.007 5.149 2.756
H -14.958 1.531 11.818
Br -12.667 1.804 9.850
N -8.809 8.725 0.622
H -6.636 5.237 -0.158
N -9.894 4.714 -2.102
N -2.541 1.126 -0.530
H -9.068 0.182 6.013
H -10.439 -0.407 5.328
H -2.171 1.572 0.313
Ca -9.685 6.392 -0.058
H -10.100 0.482 9.629
Ca -7.920 -0.665 11.767
N -5.867 -0.168 2.087
N -6.908 4.932 9.370
H -13.431 -2.121 11.177
Ca -9.249 5.869 8.809
N -7.604 2.124 3.886
N -6.910 -1.224 4.844
H -10.952 6.192 6.223
H -4.633 3.343 -1.102
N -7.973 8.121 8.226
H -8.262 6.596 2.627
Br -5.952 -0.540 -1.565
H -8.703 8.917 1.628
H -10.120 4.580 11.659
H -8.598 0.578 8.953
Br -4.938 3.924 1.859
H -12.732 -0.649 8.313
H -5.552 0.805 2.184
H -5.765 7.669 3.875
H -3.049 -0.404 6.085
H -2.537 0.385 3.875
H -7.440 -1.889 5.420
H -11.571 7.415 7.118
N -7.172 5.884 -0.741
H -6.881 2.648 3.374
N -9.632 -2.394 3.483
H -5.493 -1.672 9.752
N -11.301 4.470 0.685
Br -10.868 4.065 4.308
H -10.738 7.991 2.645
H -15.434 4.155 11.397
```



Values for V, Å³/cell, ordered as above
1626 1588
Values for energy relative to the elements, eV/atom, ordered as above
-1.254 -0.606